Record 1
DFT (PBE) results for Li6Ge2O7 after structural relaxation.

Results
Magnetic moment   0.00 μB per cell
ρ   3.142 g/cm3
MP2020-corrected energy   -359.6 eV for the cell shown
Formation energy   -2.304 eV per atom
Final energy   -5.673 eV/atom

Cell lengths 8.1824, 5.3712, 16.1848 Å; angles 90.00, 117.33, 90.00 degrees
Sites, in units of the cell vectors:
Li1 0.0086 0.1941 0.4571
Li2 0.0086 0.3059 0.9571
Li3 0.1268 0.6681 0.2566
Li4 0.1268 0.8319 0.7566
Li5 0.1785 0.0133 0.3790
Li6 0.1785 0.4867 0.8790
Li7 0.2608 0.6470 0.4844
Li8 0.2608 0.8530 0.9844
Li9 0.3463 0.1298 0.8843
Li10 0.3463 0.3702 0.3843
Li11 0.3995 0.7189 0.1949
Li12 0.3995 0.7811 0.6949
Li13 0.6005 0.2189 0.3051
Li14 0.6005 0.2811 0.8051
Li15 0.6537 0.6298 0.6157
Li16 0.6537 0.8702 0.1157
Li17 0.7392 0.1470 0.0156
Li18 0.7392 0.3530 0.5156
Li19 0.8215 0.5133 0.1210
Li20 0.8215 0.9867 0.6210
Li21 0.8732 0.1681 0.2434
Li22 0.8732 0.3319 0.7434
Li23 0.9914 0.6941 0.0429
Li24 0.9914 0.8059 0.5429
Ge1 0.1559 0.1724 0.1693
Ge2 0.1559 0.3276 0.6693
Ge3 0.4394 0.1492 0.5869
Ge4 0.4394 0.3508 0.0869
Ge5 0.5606 0.6492 0.9131
Ge6 0.5606 0.8508 0.4131
Ge7 0.8441 0.6724 0.3307
Ge8 0.8441 0.8276 0.8307
O1 0.0201 0.6762 0.9284
O2 0.0201 0.8238 0.4284
O3 0.1295 0.2279 0.7672
O4 0.1295 0.2721 0.2672
O5 0.1597 0.6525 0.6599
O6 0.1597 0.8475 0.1599
O7 0.2679 0.2218 0.9827
O8 0.2679 0.2782 0.4827
O9 0.3380 0.7300 0.3802
O10 0.3380 0.7700 0.8802
O11 0.3820 0.2120 0.6843
O12 0.3820 0.2880 0.1843
O13 0.4424 0.6770 0.0891
O14 0.4424 0.8230 0.5891
O15 0.5576 0.1770 0.4109
O16 0.5576 0.3230 0.9109
O17 0.6180 0.7120 0.8157
O18 0.6180 0.7880 0.3157
O19 0.6620 0.2300 0.1198
O20 0.6620 0.2700 0.6198
O21 0.7321 0.7218 0.5173
O22 0.7321 0.7782 0.0173
O23 0.8403 0.1525 0.8401
O24 0.8403 0.3475 0.3401
O25 0.8705 0.7279 0.7328
O26 0.8705 0.7721 0.2328
O27 0.9799 0.1762 0.5716
O28 0.9799 0.3238 0.0716

=====

Record 2
DFT (PBE) results for Li4Ge5O12 after structural relaxation.

Results
ρ   4.430 g/cm3
MP2020-corrected energy   -273.6 eV for the cell shown
Formation energy   -2.224 eV per atom
Final energy   -6.123 eV/atom

Cell lengths 5.2055, 9.3054, 9.7505 Å; angles 73.00, 77.75, 78.89 degrees
Sites, in units of the cell vectors:
Li1 0.1386 0.4069 0.4053
Li2 0.2730 0.9065 0.0229
Li3 0.3120 0.7682 0.5560
Li4 0.3488 0.5763 0.1123
Li5 0.6512 0.4237 0.8877
Li6 0.6879 0.2318 0.4440
Li7 0.7270 0.0935 0.9771
Li8 0.8614 0.5931 0.5947
Ge1 0.1173 0.5943 0.8515
Ge2 0.1885 0.2551 0.9349
Ge3 0.1930 0.0997 0.6829
Ge4 0.2598 0.0964 0.2675
Ge5 0.4084 0.4213 0.6453
Ge6 0.5916 0.5787 0.3547
Ge7 0.7402 0.9036 0.7325
Ge8 0.8070 0.9003 0.3171
Ge9 0.8115 0.7449 0.0651
Ge10 0.8827 0.4057 0.1485
O1 0.0497 0.2593 0.3020
O2 0.0507 0.4325 0.7752
O3 0.0914 0.9357 0.3714
O4 0.1027 0.1012 0.8671
O5 0.1486 0.7316 0.9512
O6 0.2332 0.4227 0.0133
O7 0.2670 0.5670 0.4838
O8 0.3191 0.2631 0.5686
O9 0.3458 0.0997 0.0819
O10 0.4394 0.9379 0.6606
O11 0.4433 0.5803 0.7299
O12 0.4884 0.7283 0.1887
O13 0.5116 0.2717 0.8113
O14 0.5567 0.4197 0.2701
O15 0.5606 0.0621 0.3394
O16 0.6542 0.9003 0.9181
O17 0.6809 0.7369 0.4314
O18 0.7330 0.4330 0.5162
O19 0.7668 0.5773 0.9867
O20 0.8514 0.2684 0.0488
O21 0.8973 0.8988 0.1329
O22 0.9086 0.0643 0.6286
O23 0.9493 0.5675 0.2248
O24 0.9503 0.7407 0.6980

=====

Record 3
DFT (PBE) results for Li10GeP2O12 after structural relaxation.

Results
Magnetic moment   0.00 μB per cell
ρ   2.450 g/cm3
MP2020-corrected energy   -312.6 eV for the cell shown
Formation energy   -2.495 eV per atom
Final energy   -5.921 eV/atom

Cell lengths 6.9924, 7.1583, 10.7244 Å; angles 90.26, 90.59, 90.18 degrees
Sites, in units of the cell vectors:
Li1 0.0000 0.0000 0.0000
Li2 0.0029 0.9829 0.7319
Li3 0.0210 0.4523 0.7456
Li4 0.0863 0.0227 0.4830
Li5 0.1938 0.6809 0.2960
Li6 0.2340 0.7351 0.8031
Li7 0.4429 0.4670 0.8503
Li8 0.4460 0.9452 0.3826
Li9 0.4659 0.4691 0.3600
Li10 0.4730 0.0454 0.6532
Li11 0.4740 0.4581 0.0916
Li12 0.4928 0.4285 0.6173
Li13 0.5083 0.9450 0.8955
Li14 0.5179 0.9814 0.1262
Li15 0.7475 0.7626 0.4876
Li16 0.7672 0.2685 0.1622
Li17 0.7728 0.2357 0.6670
Li18 0.9436 0.9414 0.2372
Li19 0.9600 0.5212 0.0216
Li20 0.9784 0.4489 0.4150
Ge1 0.2336 0.7067 0.5536
Ge2 0.7297 0.2249 0.9094
P1 0.2096 0.2138 0.2344
P2 0.2461 0.7307 0.0570
P3 0.7206 0.1976 0.4212
P4 0.7452 0.7156 0.7365
O1 0.0301 0.7106 0.4501
O2 0.0319 0.1911 0.1471
O3 0.0492 0.7412 0.1253
O4 0.1987 0.3980 0.3121
O5 0.2040 0.0375 0.3213
O6 0.2273 0.9261 0.6341
O7 0.2503 0.5464 0.9776
O8 0.2524 0.5299 0.6685
O9 0.2649 0.8997 0.9688
O10 0.4020 0.2180 0.1644
O11 0.4088 0.7243 0.1569
O12 0.4368 0.6966 0.4528
O13 0.5389 0.2176 0.7960
O14 0.5413 0.2090 0.5067
O15 0.5624 0.7142 0.8169
O16 0.7119 0.4189 0.0113
O17 0.7142 0.0100 0.3450
O18 0.7154 0.0277 0.0095
O19 0.7223 0.3683 0.3319
O20 0.7389 0.8923 0.6506
O21 0.7504 0.5320 0.6560
O22 0.9038 0.2111 0.5039
O23 0.9372 0.7255 0.8124
O24 0.9418 0.2146 0.8191

=====

Record 4
DFT (PBE) results for LiGe2P3O12 after structural relaxation.

Results
Magnetic moment   0.00 μB per cell
ρ   3.458 g/cm3
MP2020-corrected energy   -262.8 eV for the cell shown
Formation energy   -2.478 eV per atom
Final energy   -6.841 eV/atom

Cell lengths 8.4586, 8.4586, 8.4586 Å; angles 59.18, 59.18, 59.18 degrees
Sites, in units of the cell vectors:
Li1 0.0000 0.0000 0.0000
Li2 0.5000 0.5000 0.5000
Ge1 0.1414 0.1414 0.1414
Ge2 0.3579 0.3579 0.3579
Ge3 0.6421 0.6421 0.6421
Ge4 0.8586 0.8586 0.8586
P1 0.0377 0.7506 0.4617
P2 0.2494 0.5383 0.9623
P3 0.4617 0.0377 0.7506
P4 0.5383 0.9623 0.2494
P5 0.7506 0.4617 0.0377
P6 0.9623 0.2494 0.5383
O1 0.0046 0.8074 0.6242
O2 0.0802 0.9097 0.2577
O3 0.0903 0.7423 0.9198
O4 0.1408 0.2751 0.5156
O5 0.1926 0.3758 0.9954
O6 0.2222 0.5629 0.4651
O7 0.2577 0.0802 0.9097
O8 0.2751 0.5156 0.1408
O9 0.3758 0.9954 0.1926
O10 0.4371 0.5349 0.7778
O11 0.4651 0.2222 0.5629
O12 0.4844 0.8592 0.7249
O13 0.5156 0.1408 0.2751
O14 0.5349 0.7778 0.4371
O15 0.5629 0.4651 0.2222
O16 0.6242 0.0046 0.8074
O17 0.7249 0.4844 0.8592
O18 0.7423 0.9198 0.0903
O19 0.7778 0.4371 0.5349
O20 0.8074 0.6242 0.0046
O21 0.8592 0.7249 0.4844
O22 0.9097 0.2577 0.0802
O23 0.9198 0.0903 0.7423
O24 0.9954 0.1926 0.3758

=====

Record 5
DFT (PBE) results for Li10GeP2O12 after structural relaxation.

Results
Magnetic moment   0.00 μB per cell
ρ   2.557 g/cm3
MP2020-corrected energy   -313.8 eV for the cell shown
Formation energy   -2.520 eV per atom
Final energy   -5.946 eV/atom

Cell lengths 6.8368, 7.1460, 10.5270 Å; angles 89.89, 89.85, 89.75 degrees
Sites, in units of the cell vectors:
Li1 0.0000 0.0000 0.0000
Li2 0.0024 0.4992 0.3544
Li3 0.0084 0.9855 0.4941
Li4 0.0153 0.4194 0.7324
Li5 0.0746 0.0138 0.2429
Li6 0.2610 0.6731 0.9153
Li7 0.2873 0.3113 0.2291
Li8 0.3000 0.2025 0.7313
Li9 0.3318 0.7148 0.4079
Li10 0.5003 0.9771 0.8466
Li11 0.5086 0.0244 0.3356
Li12 0.5215 0.5863 0.1029
Li13 0.5221 0.4708 0.6808
Li14 0.5283 0.9446 0.0938
Li15 0.5983 0.9891 0.5963
Li16 0.6405 0.3437 0.4314
Li17 0.7310 0.3167 0.9097
Li18 0.7944 0.6903 0.6039
Li19 0.9884 0.5934 0.0979
Li20 0.9988 0.0381 0.7424
Ge1 0.2577 0.2505 0.4886
Ge2 0.7626 0.7298 0.8652
P1 0.2601 0.2563 0.9807
P2 0.2619 0.7436 0.6622
P3 0.7528 0.7595 0.3398
P4 0.7645 0.2632 0.1692
O1 0.0629 0.2223 0.6005
O2 0.0773 0.7521 0.5788
O3 0.0775 0.2354 0.8918
O4 0.2467 0.0441 0.3904
O5 0.2546 0.0920 0.0809
O6 0.2606 0.4464 0.0545
O7 0.2620 0.5599 0.7437
O8 0.2640 0.4502 0.3906
O9 0.2666 0.9183 0.7514
O10 0.4456 0.2361 0.8956
O11 0.4522 0.7397 0.5805
O12 0.4824 0.2430 0.5778
O13 0.5417 0.7599 0.9574
O14 0.5602 0.7710 0.2582
O15 0.5784 0.2565 0.2558
O16 0.7465 0.9245 0.7546
O17 0.7494 0.9372 0.4266
O18 0.7538 0.4383 0.0811
O19 0.7556 0.5824 0.4260
O20 0.7607 0.5216 0.7701
O21 0.7701 0.0865 0.0846
O22 0.9440 0.7534 0.2588
O23 0.9502 0.2738 0.2531
O24 0.9832 0.7492 0.9500

=====

Record 6
DFT (PBE) results for LiGe2P3O12 after structural relaxation.

Results
Magnetic moment   0.00 μB per cell
ρ   3.446 g/cm3
MP2020-corrected energy   -262.8 eV for the cell shown
Formation energy   -2.479 eV per atom
Final energy   -6.842 eV/atom

Cell lengths 8.4397, 8.4397, 8.4397 Å; angles 59.61, 59.61, 59.61 degrees
Sites, in units of the cell vectors:
Li1 0.0000 0.0000 0.0000
Li2 0.5000 0.5000 0.5000
Ge1 0.1411 0.1411 0.1411
Ge2 0.3589 0.3589 0.3589
Ge3 0.6411 0.6411 0.6411
Ge4 0.8589 0.8589 0.8589
P1 0.0382 0.7500 0.4618
P2 0.2500 0.5382 0.9618
P3 0.4618 0.0382 0.7500
P4 0.5382 0.9618 0.2500
P5 0.7500 0.4618 0.0382
P6 0.9618 0.2500 0.5382
O1 0.0082 0.7968 0.6304
O2 0.0563 0.9225 0.2663
O3 0.0775 0.7337 0.9437
O4 0.1304 0.2968 0.5082
O5 0.2032 0.3696 0.9918
O6 0.2337 0.5775 0.4437
O7 0.2663 0.0563 0.9225
O8 0.2968 0.5082 0.1304
O9 0.3696 0.9918 0.2032
O10 0.4225 0.5563 0.7663
O11 0.4437 0.2337 0.5775
O12 0.4918 0.8696 0.7032
O13 0.5082 0.1304 0.2968
O14 0.5563 0.7663 0.4225
O15 0.5775 0.4437 0.2337
O16 0.6304 0.0082 0.7968
O17 0.7032 0.4918 0.8696
O18 0.7337 0.9437 0.0775
O19 0.7663 0.4225 0.5563
O20 0.7968 0.6304 0.0082
O21 0.8696 0.7032 0.4918
O22 0.9225 0.2663 0.0563
O23 0.9437 0.0775 0.7337
O24 0.9918 0.2032 0.3696

=====

Record 7
DFT (PBE) results for LiGeRhO4 after structural relaxation.

Results
Magnetic moment   0.00 μB per cell
ρ   5.360 g/cm3
MP2020-corrected energy   -93.9 eV for the cell shown
Formation energy   -1.892 eV per atom
Final energy   -6.312 eV/atom

Cell lengths 5.9983, 5.9983, 5.9983 Å; angles 121.45, 118.33, 90.21 degrees
Sites, in units of the cell vectors:
Li1 0.3743 0.1243 0.2500
Li2 0.6257 0.8757 0.7500
Ge1 0.0000 0.0000 0.5000
Ge2 0.0000 0.5000 0.0000
Rh1 0.0000 0.5000 0.5000
Rh2 0.5000 0.5000 0.0000
O1 0.2094 0.7440 0.4654
O2 0.2214 0.2560 0.9654
O3 0.2254 0.2432 0.5177
O4 0.2254 0.7077 0.9823
O5 0.7746 0.2923 0.0177
O6 0.7746 0.7568 0.4823
O7 0.7786 0.7440 0.0346
O8 0.7906 0.2560 0.5346

=====

Record 8
DFT (PBE) results for LiScGeO4 after structural relaxation.

Results
Magnetic moment   0.00 μB per cell
ρ   3.820 g/cm3
MP2020-corrected energy   -211.2 eV for the cell shown
Formation energy   -2.876 eV per atom
Final energy   -7.149 eV/atom

Cell lengths 10.7711, 6.0571, 5.0241 Å; angles 90.00, 90.00, 90.00 degrees
Sites, in units of the cell vectors:
Li1 0.0000 0.0000 0.0000
Li2 0.0000 0.5000 0.0000
Li3 0.5000 0.0000 0.5000
Li4 0.5000 0.5000 0.5000
Sc1 0.2282 0.2500 0.4962
Sc2 0.2718 0.7500 0.9962
Sc3 0.7282 0.2500 0.0038
Sc4 0.7718 0.7500 0.5038
Ge1 0.0901 0.7500 0.5503
Ge2 0.4099 0.2500 0.0503
Ge3 0.5901 0.7500 0.9497
Ge4 0.9099 0.2500 0.4497
O1 0.0581 0.2500 0.3005
O2 0.0972 0.7500 0.2036
O3 0.1731 0.5298 0.7149
O4 0.1731 0.9702 0.7149
O5 0.3269 0.0298 0.2149
O6 0.3269 0.4702 0.2149
O7 0.4028 0.2500 0.7036
O8 0.4419 0.7500 0.8005
O9 0.5581 0.2500 0.1995
O10 0.5972 0.7500 0.2964
O11 0.6731 0.5298 0.7851
O12 0.6731 0.9702 0.7851
O13 0.8269 0.0298 0.2851
O14 0.8269 0.4702 0.2851
O15 0.9028 0.2500 0.7964
O16 0.9419 0.7500 0.6995

=====

Record 9
DFT (PBE) results for LiScGe2O6 after structural relaxation.

Results
Magnetic moment   0.00 μB per cell
ρ   3.982 g/cm3
MP2020-corrected energy   -294.9 eV for the cell shown
Formation energy   -2.656 eV per atom
Final energy   -6.961 eV/atom

Cell lengths 9.8333, 9.2212, 5.5313 Å; angles 90.00, 102.81, 90.00 degrees
Sites, in units of the cell vectors:
Li1 0.2453 0.0087 0.4674
Li2 0.2453 0.4913 0.9674
Li3 0.7547 0.5087 0.0326
Li4 0.7547 0.9913 0.5326
Sc1 0.2491 0.6465 0.4691
Sc2 0.2491 0.8535 0.9691
Sc3 0.7509 0.1465 0.0309
Sc4 0.7509 0.3535 0.5309
Ge1 0.0534 0.1631 0.8100
Ge2 0.0534 0.3369 0.3100
Ge3 0.4507 0.1610 0.2451
Ge4 0.4507 0.3390 0.7451
Ge5 0.5493 0.6610 0.2549
Ge6 0.5493 0.8390 0.7549
Ge7 0.9466 0.6631 0.6900
Ge8 0.9466 0.8369 0.1900
O1 0.1095 0.1920 0.1386
O2 0.1095 0.3080 0.6386
O3 0.1331 0.0046 0.7428
O4 0.1331 0.4954 0.2428
O5 0.1325 0.6683 0.7523
O6 0.1325 0.8317 0.2523
O7 0.3645 0.6706 0.1882
O8 0.3645 0.8294 0.6882
O9 0.3799 0.2149 0.5020
O10 0.3799 0.2851 0.0020
O11 0.3808 0.5117 0.6904
O12 0.3808 0.9883 0.1904
O13 0.6192 0.0117 0.8096
O14 0.6192 0.4883 0.3096
O15 0.6201 0.7149 0.9980
O16 0.6201 0.7851 0.4980
O17 0.6355 0.1706 0.3118
O18 0.6355 0.3294 0.8118
O19 0.8675 0.1683 0.7477
O20 0.8675 0.3317 0.2477
O21 0.8669 0.5046 0.7572
O22 0.8669 0.9954 0.2572
O23 0.8905 0.6920 0.3614
O24 0.8905 0.8080 0.8614

=====

Record 10
DFT (PBE) results for Li4SiGe3O10 after structural relaxation.

Results
Magnetic moment   0.00 μB per cell
ρ   2.960 g/cm3
MP2020-corrected energy   -119.6 eV for the cell shown
Formation energy   -2.400 eV per atom
Final energy   -6.263 eV/atom

Cell lengths 5.0645, 6.2147, 8.1190 Å; angles 89.53, 72.24, 89.62 degrees
Sites, in units of the cell vectors:
Li1 0.0000 0.0000 0.0000
Li2 0.1016 0.2925 0.7807
Li3 0.5006 0.2982 0.9907
Li4 0.6099 0.0067 0.7749
Si1 0.8167 0.4923 0.5988
Ge1 0.0237 0.4885 0.1897
Ge2 0.3133 0.7995 0.5982
Ge3 0.5245 0.8058 0.1824
O1 0.0535 0.3034 0.0301
O2 0.1263 0.5523 0.6217
O3 0.1998 0.9896 0.7554
O4 0.3510 0.9080 0.3905
O5 0.3855 0.5463 0.1621
O6 0.5614 0.9922 0.0211
O7 0.6440 0.7241 0.6246
O8 0.6962 0.3127 0.7444
O9 0.8548 0.4012 0.4033
O10 0.8839 0.7467 0.1627